Compound: Li5MnCo2O8
Source: the Materials Project
Functional: GGA+U
Structure: relaxed

abc: 5.768 5.768 5.047
angles: 74.38 74.38 60.19
Atoms (fractional coordinates):
O1 0.115 0.115 0.245
O2 0.361 0.888 0.782
O3 0.885 0.885 0.755
O4 0.112 0.639 0.218
O5 0.888 0.361 0.782
O6 0.359 0.359 0.780
O7 0.639 0.112 0.218
O8 0.641 0.641 0.220
Li1 0.250 0.250 0.498
Li2 0.745 0.255 0.500
Li3 0.255 0.745 0.500
Li4 0.500 0.500 0.000
Li5 0.750 0.750 0.502
Mn1 0.000 0.000 0.000
Co1 0.000 0.500 0.000
Co2 0.500 0.000 0.000

Output
**Corrected total energy (MP2020 scheme)**: -6.387 eV per atom
**Density**: 4.0 g/cm³
**Energy of formation**: -1.855 eV/atom
**ΔE to the lowest computed polymorph**: 0.49 eV/f.u.


Compound: Li3MnCoO5
Source: the Materials Project
Functional: GGA+U
Structure: relaxed

abc: 7.814 7.814 8.249
angles: 74.72 74.72 21.54
Atoms (fractional coordinates):
Li1 0.806 0.806 0.099
Li2 0.194 0.194 0.901
Li3 0.600 0.600 0.712
Li4 0.000 0.000 0.000
Li5 0.400 0.400 0.288
Li6 0.000 0.000 0.500
O1 0.205 0.205 0.642
O2 0.988 0.988 0.754
O3 0.394 0.394 0.564
O4 0.795 0.795 0.358
O5 0.397 0.397 0.032
O6 0.188 0.188 0.162
O7 0.012 0.012 0.246
O8 0.606 0.606 0.436
O9 0.812 0.812 0.838
O10 0.603 0.603 0.968
Mn1 0.402 0.402 0.808
Mn2 0.598 0.598 0.192
Co1 0.802 0.802 0.597
Co2 0.198 0.198 0.403

Output
**Corrected total energy (MP2020 scheme)**: -6.589 eV per atom
**Density**: 4.0 g/cm³
**Energy of formation**: -1.916 eV/atom
**ΔE to the lowest computed polymorph**: 0.44 eV/f.u.